No. 1
{"formula": "Ba2MgNiMoO6", "functional": "PBE+U", "state": "relaxed", "cell": [[5.255, 0.357, 3.617], [1.848, 5.524, 3.945], [0.075, 0.509, 7.016]], "species": ["Ba", "Ba", "Mg", "Ni", "Mo", "O", "O", "O", "O", "O", "O"], "fractional_positions": [[0.707, 0.796, 0.796], [0.198, 0.181, 0.181], [0.380, 0.412, 0.412], [0.978, 0.024, 0.024], [0.599, 0.559, 0.559], [0.242, 0.213, 0.771], [0.771, 0.226, 0.747], [0.729, 0.232, 0.232], [0.771, 0.747, 0.226], [0.242, 0.771, 0.213], [0.247, 0.714, 0.714]], "corrected_energy_ev_per_atom": -6.7648, "crystal_system": "monoclinic", "rho_g_cm3": 4.79, "total_magnetization_mub_per_cell": 2.000, "delta_e_f_ev_per_atom": -2.06, "volume_a3_per_fu": 190.5, "final_energy_ev_per_atom": -5.87}

No. 2
{"formula": "Ba2MgNiMoO6", "functional": "PBE+U", "state": "relaxed", "cell": [[4.984, 0.000, 2.877], [1.086, 5.509, 3.875], [-0.574, 0.816, 6.749]], "species": ["Ba", "Ba", "Mg", "Ni", "Mo", "O", "O", "O", "O", "O", "O"], "fractional_positions": [[0.826, 0.674, 0.674], [0.174, 0.326, 0.326], [0.500, 0.000, 0.000], [0.000, 0.000, 0.000], [0.500, 0.500, 0.500], [0.252, 0.246, 0.754], [0.748, 0.246, 0.754], [0.678, 0.322, 0.322], [0.748, 0.754, 0.246], [0.252, 0.754, 0.246], [0.323, 0.678, 0.678]], "corrected_energy_ev_per_atom": -6.9150, "crystal_system": "orthorhombic", "rho_g_cm3": 5.04, "total_magnetization_mub_per_cell": 2.000, "delta_e_f_ev_per_atom": -2.21, "volume_a3_per_fu": 181.2, "final_energy_ev_per_atom": -6.02}

No. 3
{"formula": "Ba2MgMo2O8", "functional": "PBE+U", "state": "relaxed", "cell": [[6.066, -0.076, 0.059], [-0.072, 5.598, 0.002], [-2.933, -2.758, 6.438]], "species": ["Ba", "Ba", "Mg", "Mo", "Mo", "O", "O", "O", "O", "O", "O", "O", "O"], "fractional_positions": [[0.138, 0.384, 0.271], [0.883, 0.637, 0.770], [0.576, 0.316, 0.143], [0.637, 0.886, 0.280], [0.358, 0.109, 0.711], [0.770, 0.983, 0.124], [0.352, 0.640, 0.121], [0.453, 0.813, 0.577], [0.129, 0.272, 0.584], [0.260, 0.074, 0.915], [0.659, 0.340, 0.910], [0.556, 0.217, 0.388], [0.824, 0.661, 0.381]], "corrected_energy_ev_per_atom": -7.6203, "crystal_system": "triclinic", "rho_g_cm3": 4.68, "total_magnetization_mub_per_cell": 1.998, "delta_e_f_ev_per_atom": -2.49, "volume_a3_per_fu": 219.6, "final_energy_ev_per_atom": -6.70}

No. 4
{"formula": "BaMgMo4O8", "functional": "PBE+U", "state": "relaxed", "cell": [[-3.944, -3.109, -2.745], [2.262, -1.922, 4.893], [-5.267, 3.365, 3.757]], "species": ["Ba", "Mg", "Mo", "Mo", "Mo", "Mo", "O", "O", "O", "O", "O", "O", "O", "O"], "fractional_positions": [[0.000, 0.000, 0.000], [0.000, 0.000, 0.500], [0.333, 0.667, 0.718], [0.667, 0.333, 0.718], [0.333, 0.667, 0.282], [0.667, 0.333, 0.282], [0.292, 0.292, 0.679], [0.708, 0.000, 0.679], [0.000, 0.708, 0.679], [0.708, 0.708, 0.321], [0.000, 0.292, 0.321], [0.292, 0.000, 0.321], [0.333, 0.667, 0.000], [0.667, 0.333, 0.000]], "corrected_energy_ev_per_atom": -7.9124, "crystal_system": "trigonal", "rho_g_cm3": 5.41, "total_magnetization_mub_per_cell": 12.001, "delta_e_f_ev_per_atom": -1.73, "volume_a3_per_fu": 206.8, "final_energy_ev_per_atom": -6.60}